This record from the Materials Project describes Sr10P6ClO24F after structural relaxation. The functional is PBE-GGA.

Cell: 9.9411 9.9411 7.3337 Å, 90.00 90.00 120.00°
Atoms (fractional coordinates):
Sr1 0.0000 0.0000 0.0000
Sr2 0.0000 0.0000 0.4941
Sr3 0.3333 0.6667 0.4986
Sr4 0.3333 0.6667 0.9987
Sr5 0.4033 0.0774 0.7488
Sr6 0.4275 0.3393 0.2494
Sr7 0.6607 0.0882 0.2494
Sr8 0.6742 0.5967 0.7488
Sr9 0.9118 0.5725 0.2494
Sr10 0.9226 0.3258 0.7488
P1 0.0403 0.3057 0.2467
P2 0.0658 0.7042 0.7471
P3 0.2654 0.9597 0.2467
P4 0.2958 0.3616 0.7471
P5 0.6384 0.9342 0.7471
P6 0.6943 0.7346 0.2467
Cl1 0.6667 0.3333 0.5812
O1 0.0034 0.8202 0.7473
O2 0.0045 0.5948 0.9163
O3 0.0169 0.6022 0.5731
O4 0.0836 0.8683 0.2456
O5 0.1317 0.2153 0.2456
O6 0.1535 0.4839 0.2469
O7 0.1798 0.1833 0.7473
O8 0.2051 0.4529 0.7529
O9 0.2478 0.7949 0.7529
O10 0.3209 0.0661 0.4184
O11 0.3228 0.0674 0.0761
O12 0.3305 0.8465 0.2469
O13 0.3978 0.4146 0.5731
O14 0.4052 0.4096 0.9163
O15 0.5161 0.6695 0.2469
O16 0.5471 0.7522 0.7529
O17 0.5854 0.9831 0.5731
O18 0.5904 0.9955 0.9163
O19 0.7446 0.6772 0.0761
O20 0.7452 0.6791 0.4184
O21 0.7847 0.9164 0.2456
O22 0.8167 0.9966 0.7473
O23 0.9326 0.2554 0.0761
O24 0.9339 0.2548 0.4184
F1 0.6667 0.3333 0.1671

Output
E above lowest polymorph ... 0.35 eV per formula unit
Crystal system ... trigonal
DFT formation energy ... -140.999 eV per formula unit
Magnetization ... 0.000 μB/cell

This record from the Materials Project describes Sr20P12ClO48F3 after structural relaxation. The functional is PBE-GGA.

Cell: 7.3600 9.9047 17.1541 Å, 90.01 90.00 90.00°
Atoms (fractional coordinates):
Sr1 0.0000 0.0000 0.0000
Sr2 0.9995 0.0005 0.6687
Sr3 0.0012 0.4961 0.1659
Sr4 0.0006 0.4968 0.5014
Sr5 0.2487 0.2508 0.8294
Sr6 0.2486 0.6148 0.9597
Sr7 0.2486 0.6292 0.7132
Sr8 0.2525 0.7534 0.3291
Sr9 0.2531 0.1139 0.4594
Sr10 0.2530 0.1282 0.2134
Sr11 0.4964 0.4975 0.5009
Sr12 0.4969 0.9994 0.0005
Sr13 0.4995 0.0022 0.6671
Sr14 0.5002 0.4950 0.1678
Sr15 0.7484 0.7454 0.8396
Sr16 0.7489 0.3662 0.9546
Sr17 0.7490 0.3821 0.7083
Sr18 0.7522 0.8734 0.1960
Sr19 0.7533 0.2670 0.3400
Sr20 0.7526 0.8554 0.4659
P1 0.2487 0.2840 0.0175
P2 0.2485 0.3301 0.6352
P3 0.2492 0.3837 0.3499
P4 0.2493 0.7824 0.5191
P5 0.2493 0.8291 0.1334
P6 0.2487 0.8812 0.8491
P7 0.7485 0.1154 0.8190
P8 0.7488 0.1661 0.5348
P9 0.7488 0.2152 0.1497
P10 0.7490 0.6177 0.3169
P11 0.7487 0.6645 0.0312
P12 0.7486 0.7115 0.6525
Cl1 0.6450 0.9986 0.3341
O1 0.0774 0.8008 0.8755
O2 0.0779 0.2843 0.9638
O3 0.0776 0.4102 0.6622
O4 0.0794 0.7825 0.4650
O5 0.0799 0.3022 0.3772
O6 0.0796 0.9104 0.1605
O7 0.2469 0.5226 0.3929
O8 0.2480 0.1498 0.0653
O9 0.2484 0.1849 0.6703
O10 0.2481 0.3253 0.5441
O11 0.2481 0.4022 0.2597
O12 0.2477 0.6481 0.5668
O13 0.2484 0.6843 0.1687
O14 0.2476 0.8248 0.0424
O15 0.2483 0.9079 0.5738
O16 0.2486 0.0199 0.8926
O17 0.2489 0.4092 0.0725
O18 0.2489 0.9019 0.7590
O19 0.4199 0.2842 0.9641
O20 0.4201 0.4096 0.6620
O21 0.4196 0.8006 0.8756
O22 0.4213 0.9089 0.1593
O23 0.4217 0.3055 0.3768
O24 0.4215 0.7815 0.4664
O25 0.5734 0.0863 0.5138
O26 0.5730 0.6889 0.2890
O27 0.5736 0.2238 0.2001
O28 0.5776 0.1962 0.7925
O29 0.5777 0.5867 0.0029
O30 0.5776 0.7077 0.7055
O31 0.7472 0.0886 0.0953
O32 0.7474 0.3111 0.4988
O33 0.7482 0.0946 0.9091
O34 0.7479 0.5917 0.4069
O35 0.7485 0.9768 0.7756
O36 0.7488 0.5917 0.5935
O37 0.7491 0.6629 0.1223
O38 0.7486 0.8128 0.0006
O39 0.7491 0.8490 0.6079
O40 0.7570 0.1733 0.6258
O41 0.7569 0.3480 0.1004
O42 0.7581 0.4803 0.2720
O43 0.9170 0.0848 0.5057
O44 0.9173 0.2122 0.2047
O45 0.9167 0.7030 0.2925
O46 0.9195 0.7078 0.7057
O47 0.9197 0.1961 0.7929
O48 0.9197 0.5868 0.0028
F1 0.2203 0.9989 0.3341
F2 0.2485 0.4978 0.8340
F3 0.7486 0.4980 0.8340

Output
Crystal system ... triclinic
DFT formation energy ... -285.099 eV per formula unit
Magnetization ... 0.002 μB/cell

This record from the Materials Project describes Pb2ClOF after structural relaxation. The functional is PBE-GGA.

Cell: 7.0417 7.0417 5.8688 Å, 90.00 90.00 131.09°
Atoms (fractional coordinates):
Pb1 0.1023 0.8977 0.7812
Pb2 0.3977 0.6023 0.7812
Pb3 0.6023 0.3977 0.2188
Pb4 0.8977 0.1023 0.2188
Cl1 0.2500 0.7500 0.2135
Cl2 0.7500 0.2500 0.7865
O1 0.2500 0.2500 0.0000
O2 0.7500 0.7500 0.0000
F1 0.2500 0.2500 0.5000
F2 0.7500 0.7500 0.5000

Output
Crystal system ... orthorhombic
DFT formation energy ... -9.032 eV per formula unit
Magnetization ... 0.000 μB/cell

This record from the Materials Project describes TiPb2Se2ClO7F after structural relaxation. The functional is PBE-GGA.

Cell: 8.4768 5.4570 10.9506 Å, 90.00 111.61 90.00°
Atoms (fractional coordinates):
Ti1 0.1509 0.0000 0.0428
Ti2 0.8491 0.5000 0.9572
Pb1 0.2081 0.0013 0.4963
Pb2 0.3328 0.4576 0.8100
Pb3 0.6672 0.9576 0.1900
Pb4 0.7919 0.5013 0.5037
Se1 0.0089 0.0057 0.7216
Se2 0.3737 0.4975 0.1910
Se3 0.6263 0.9975 0.8090
Se4 0.9911 0.5057 0.2784
Cl1 0.3747 0.5222 0.5497
Cl2 0.6253 0.0222 0.4503
O1 0.0268 0.2965 0.0319
O2 0.0594 0.2319 0.6298
O3 0.0793 0.7540 0.6625
O4 0.1763 0.0676 0.8709
O5 0.3323 0.7240 0.0688
O6 0.3783 0.2315 0.1043
O7 0.4123 0.0517 0.7332
O8 0.5877 0.5517 0.2668
O9 0.6217 0.7315 0.8957
O10 0.6677 0.2240 0.9312
O11 0.8237 0.5676 0.1291
O12 0.9207 0.2540 0.3375
O13 0.9406 0.7319 0.3702
O14 0.9732 0.7965 0.9681
F1 0.1784 0.9526 0.2224
F2 0.8216 0.4526 0.7776

Output
Crystal system ... monoclinic
DFT formation energy ... -27.405 eV per formula unit
Magnetization ... 0.002 μB/cell

This record from the Materials Project describes Sb3Cl9OF4 after structural relaxation. The functional is PBE-GGA.

Cell: 7.2181 10.1615 13.7620 Å, 91.03 93.07 105.42°
Atoms (fractional coordinates):
Sb1 0.0997 0.1413 0.3078
Sb2 0.3008 0.5572 0.2864
Sb3 0.3120 0.2330 0.1063
Sb4 0.6880 0.7670 0.8937
Sb5 0.6992 0.4428 0.7136
Sb6 0.9003 0.8587 0.6922
Cl1 0.0034 0.9086 0.2696
Cl2 0.1778 0.3224 0.9744
Cl3 0.2044 0.6472 0.4259
Cl4 0.2040 0.8417 0.6560
Cl5 0.2406 0.1362 0.4630
Cl6 0.2579 0.0141 0.0384
Cl7 0.3617 0.6902 0.9159
Cl8 0.4079 0.4676 0.6456
Cl9 0.4340 0.7555 0.2051
Cl10 0.5660 0.2445 0.7949
Cl11 0.5921 0.5324 0.3544
Cl12 0.6383 0.3098 0.0841
Cl13 0.7421 0.9859 0.9616
Cl14 0.7594 0.8638 0.5370
Cl15 0.7960 0.1583 0.3440
Cl16 0.7956 0.3528 0.5741
Cl17 0.8222 0.6776 0.0256
Cl18 0.9966 0.0914 0.7304
O1 0.3448 0.1845 0.2430
O2 0.6552 0.8155 0.7570
F1 0.0286 0.1932 0.1620
F2 0.0542 0.5342 0.2203
F3 0.1733 0.3616 0.3337
F4 0.3419 0.4379 0.1689
F5 0.6581 0.5621 0.8311
F6 0.8267 0.6384 0.6663
F7 0.9458 0.4658 0.7797
F8 0.9714 0.8068 0.8380

Output
Crystal system ... triclinic
DFT formation energy ... -22.568 eV per formula unit
Magnetization ... 0.001 μB/cell

This record from the Materials Project describes SbTe8Cl6O6F31 after structural relaxation. The functional is PBE-GGA.

Cell: 9.3662 10.6643 10.8148 Å, 83.51 86.18 75.66°
Atoms (fractional coordinates):
Sb1 0.0000 0.0000 0.0000
Te1 0.1694 0.9741 0.2996
Te2 0.2389 0.1989 0.8430
Te3 0.2754 0.7229 0.8931
Te4 0.3385 0.4857 0.3617
Te5 0.6615 0.5143 0.6383
Te6 0.7246 0.2771 0.1069
Te7 0.7611 0.8011 0.1570
Te8 0.8306 0.0259 0.7004
Cl1 0.1589 0.4507 0.2369
Cl2 0.1654 0.5777 0.5085
Cl3 0.3968 0.2704 0.4426
Cl4 0.6032 0.7296 0.5574
Cl5 0.8346 0.4223 0.4915
Cl6 0.8411 0.5493 0.7631
O1 0.0662 0.1421 0.8938
O2 0.0832 0.0497 0.1473
O3 0.1943 0.8733 0.9736
O4 0.8057 0.1267 0.0264
O5 0.9168 0.9503 0.8527
O6 0.9338 0.8579 0.1062
F1 0.0024 0.0700 0.6306
F2 0.1061 0.6575 0.9113
F3 0.1091 0.1382 0.3587
F4 0.1323 0.3038 0.7121
F5 0.1817 0.3374 0.9426
F6 0.2214 0.8022 0.7338
F7 0.2364 0.8034 0.2516
F8 0.2578 0.9097 0.4524
F9 0.3083 0.0685 0.7356
F10 0.3432 0.6282 0.0440
F11 0.3491 0.0110 0.2425
F12 0.3554 0.0983 0.9693
F13 0.3701 0.5729 0.8132
F14 0.4014 0.2670 0.7861
F15 0.4549 0.7719 0.8705
F16 0.5000 0.5000 0.5000
F17 0.5451 0.2281 0.1295
F18 0.5986 0.7330 0.2139
F19 0.6299 0.4271 0.1868
F20 0.6446 0.9017 0.0307
F21 0.6509 0.9890 0.7575
F22 0.6568 0.3718 0.9560
F23 0.6917 0.9315 0.2644
F24 0.7422 0.0903 0.5476
F25 0.7636 0.1966 0.7484
F26 0.7786 0.1978 0.2662
F27 0.8183 0.6626 0.0574
F28 0.8677 0.6962 0.2879
F29 0.8909 0.8618 0.6413
F30 0.8939 0.3425 0.0887
F31 0.9976 0.9300 0.3694

Output
Crystal system ... triclinic
DFT formation energy ... -104.287 eV per formula unit
Magnetization ... 0.000 μB/cell

This record from the Materials Project describes OsClF8 after structural relaxation. The functional is PBE-GGA.

Cell: 5.6520 5.6774 6.1549 Å, 91.61 90.78 93.35°
Atoms (fractional coordinates):
Os1 0.0000 0.0000 0.0000
Cl1 0.4997 0.5014 0.5601
F1 0.1795 0.8556 0.2109
F2 0.1845 0.8743 0.7795
F3 0.2085 0.2687 0.0069
F4 0.2482 0.3199 0.5030
F5 0.7489 0.6849 0.5160
F6 0.7915 0.7309 0.9895
F7 0.8148 0.1302 0.2169
F8 0.8200 0.1419 0.7869

Output
E above lowest polymorph ... 0.00 eV per formula unit
Crystal system ... triclinic
DFT formation energy ... -16.555 eV per formula unit
Magnetization ... 3.029 μB/cell

This record from the Materials Project describes OsClF8 after structural relaxation. The functional is PBE-GGA.

Cell: 6.8088 5.7117 10.6984 Å, 90.00 128.97 90.00°
Atoms (fractional coordinates):
Os1 0.0000 0.0303 0.2500
Os2 0.0000 0.9697 0.7500
Cl1 0.5000 0.3257 0.2500
Cl2 0.5000 0.6743 0.7500
F1 0.1219 0.2101 0.9084
F2 0.1219 0.7899 0.4084
F3 0.1306 0.2593 0.4143
F4 0.1306 0.7407 0.9143
F5 0.3176 0.0286 0.2891
F6 0.3176 0.9714 0.7891
F7 0.3618 0.4833 0.7846
F8 0.3618 0.5167 0.2846
F9 0.6382 0.4833 0.7154
F10 0.6382 0.5167 0.2154
F11 0.6824 0.0286 0.2109
F12 0.6824 0.9714 0.7109
F13 0.8694 0.2593 0.0857
F14 0.8694 0.7407 0.5857
F15 0.8781 0.2101 0.5916
F16 0.8781 0.7899 0.0916

Output
E above lowest polymorph ... 0.18 eV per formula unit
Crystal system ... monoclinic
DFT formation energy ... -16.374 eV per formula unit
Magnetization ... 6.000 μB/cell

This record from the Materials Project describes P2RhClF6 after structural relaxation. The functional is PBE-GGA.

Cell: 10.7057 10.1761 15.1094 Å, 90.00 113.20 90.00°
Atoms (fractional coordinates):
P1 0.0208 0.2421 0.0479
P2 0.0208 0.2579 0.5479
P3 0.1000 0.0371 0.7083
P4 0.1000 0.4629 0.2083
P5 0.3810 0.5611 0.7998
P6 0.3810 0.9389 0.2998
P7 0.4573 0.7235 0.4672
P8 0.4573 0.7765 0.9672
P9 0.5427 0.2235 0.0328
P10 0.5427 0.2765 0.5328
P11 0.6190 0.0611 0.7002
P12 0.6190 0.4389 0.2002
P13 0.9000 0.5371 0.7917
P14 0.9000 0.9629 0.2917
P15 0.9792 0.7421 0.4521
P16 0.9792 0.7579 0.9521
Rh1 0.0668 0.5792 0.9260
Rh2 0.0668 0.9208 0.4260
Rh3 0.3523 0.5912 0.9317
Rh4 0.3523 0.9088 0.4317
Rh5 0.6477 0.0912 0.5683
Rh6 0.6477 0.4088 0.0683
Rh7 0.9332 0.0792 0.5740
Rh8 0.9332 0.4208 0.0740
Cl1 0.1993 0.0936 0.3948
Cl2 0.1993 0.4064 0.8948
Cl3 0.2772 0.6236 0.0611
Cl4 0.2772 0.8764 0.5611
Cl5 0.7228 0.1236 0.4389
Cl6 0.7228 0.3764 0.9389
Cl7 0.8007 0.5936 0.1052
Cl8 0.8007 0.9064 0.6052
F1 0.0099 0.7017 0.5589
F2 0.0099 0.7983 0.0589
F3 0.0286 0.6115 0.4197
F4 0.0286 0.8885 0.9197
F5 0.0828 0.0830 0.8023
F6 0.0828 0.4170 0.3023
F7 0.1358 0.6116 0.2362
F8 0.1358 0.8884 0.7362
F9 0.1778 0.2140 0.0937
F10 0.1778 0.2860 0.5937
F11 0.2478 0.0907 0.7336
F12 0.2478 0.4093 0.2336
F13 0.2545 0.5929 0.7042
F14 0.2545 0.9071 0.2042
F15 0.3635 0.5976 0.4452
F16 0.3635 0.9024 0.9452
F17 0.4085 0.0826 0.2731
F18 0.4085 0.4174 0.7731
F19 0.4416 0.1748 0.0782
F20 0.4416 0.3252 0.5782
F21 0.4537 0.1932 0.9238
F22 0.4537 0.3068 0.4238
F23 0.4922 0.6361 0.7759
F24 0.4922 0.8639 0.2759
F25 0.5078 0.1361 0.7241
F26 0.5078 0.3639 0.2241
F27 0.5463 0.6932 0.5762
F28 0.5463 0.8068 0.0762
F29 0.5584 0.6748 0.4218
F30 0.5584 0.8252 0.9218
F31 0.5915 0.5826 0.2269
F32 0.5915 0.9174 0.7269
F33 0.6365 0.0976 0.0548
F34 0.6365 0.4024 0.5548
F35 0.7455 0.0929 0.7958
F36 0.7455 0.4071 0.2958
F37 0.7522 0.5907 0.7664
F38 0.7522 0.9093 0.2664
F39 0.8222 0.7140 0.4063
F40 0.8222 0.7860 0.9063
F41 0.8642 0.1116 0.2638
F42 0.8642 0.3884 0.7638
F43 0.9172 0.5830 0.6977
F44 0.9172 0.9170 0.1977
F45 0.9714 0.1115 0.0803
F46 0.9714 0.3885 0.5803
F47 0.9901 0.2017 0.9411
F48 0.9901 0.2983 0.4411

Output
Crystal system ... monoclinic
DFT formation energy ... -23.206 eV per formula unit
Magnetization ... 0.000 μB/cell

- Look up the DFT formation energy of the first one.
  -140.999 eV per formula unit